No. 1
{
  "formula": "SrC6Br2O8",
  "functional": "GGA-PBE",
  "state": "relaxed",
  "cell": [[-9.385, -3.313, -4.009], [1.770, -4.941, 9.358], [-3.970, 3.497, 3.739]],
  "species": ["Sr", "Sr", "C", "C", "C", "C", "C", "C", "C", "C", "C", "C", "C", "C", "Br", "Br", "Br", "Br", "O", "O", "O", "O", "O", "O", "O", "O", "O", "O", "O", "O", "O", "O", "O", "O"],
  "frac_coords": [[0.801, 0.801, 0.140], [0.199, 0.199, 0.860], [0.548, 0.092, 0.137], [0.452, 0.908, 0.863], [0.908, 0.452, 0.863], [0.092, 0.548, 0.137], [0.604, 0.990, 0.116], [0.396, 0.010, 0.884], [0.010, 0.396, 0.884], [0.990, 0.604, 0.116], [0.445, 0.106, 0.032], [0.555, 0.894, 0.968], [0.894, 0.555, 0.968], [0.106, 0.445, 0.032], [0.613, 0.209, 0.316], [0.387, 0.791, 0.684], [0.791, 0.387, 0.684], [0.209, 0.613, 0.316], [0.389, 0.191, 0.051], [0.611, 0.809, 0.949], [0.809, 0.611, 0.949], [0.191, 0.389, 0.051], [0.880, 0.120, 0.500], [0.120, 0.880, 0.500], [0.649, 0.649, 0.571], [0.351, 0.351, 0.429], [0.692, 0.973, 0.211], [0.308, 0.027, 0.789], [0.027, 0.308, 0.789], [0.973, 0.692, 0.211], [0.993, 0.993, 0.899], [0.007, 0.007, 0.101], [0.449, 0.449, 0.323], [0.551, 0.551, 0.677]],
  "m_tot_mub_per_atom": 0.294,
  "ef_mev_per_atom": -457
}

=====

No. 2
{
  "formula": "LiCuPO4",
  "functional": "GGA-PBE",
  "state": "relaxed",
  "cell": [[5.038, -6.901, 0.000], [5.038, 6.901, 0.000], [-4.414, 0.000, 7.316]],
  "species": ["Li", "Li", "Li", "Li", "Li", "Li", "Cu", "Cu", "Cu", "Cu", "Cu", "Cu", "P", "P", "P", "P", "P", "P", "O", "O", "O", "O", "O", "O", "O", "O", "O", "O", "O", "O", "O", "O", "O", "O", "O", "O", "O", "O", "O", "O", "O", "O"],
  "frac_coords": [[0.899, 0.124, 0.727], [0.727, 0.899, 0.124], [0.199, 0.612, 0.420], [0.124, 0.727, 0.899], [0.612, 0.420, 0.199], [0.420, 0.199, 0.612], [0.536, 0.932, 0.765], [0.234, 0.461, 0.042], [0.932, 0.765, 0.536], [0.042, 0.234, 0.461], [0.765, 0.536, 0.932], [0.461, 0.042, 0.234], [0.279, 0.096, 0.877], [0.786, 0.389, 0.573], [0.877, 0.279, 0.096], [0.389, 0.573, 0.786], [0.573, 0.786, 0.389], [0.096, 0.877, 0.279], [0.905, 0.598, 0.656], [0.656, 0.905, 0.598], [0.290, 0.986, 0.992], [0.986, 0.992, 0.290], [0.074, 0.773, 0.398], [0.604, 0.917, 0.295], [0.992, 0.290, 0.986], [0.398, 0.074, 0.773], [0.078, 0.020, 0.737], [0.301, 0.005, 0.357], [0.917, 0.295, 0.604], [0.369, 0.655, 0.309], [0.673, 0.349, 0.682], [0.655, 0.309, 0.369], [0.309, 0.369, 0.655], [0.737, 0.078, 0.020], [0.773, 0.398, 0.074], [0.598, 0.656, 0.905], [0.357, 0.301, 0.005], [0.295, 0.604, 0.917], [0.005, 0.357, 0.301], [0.682, 0.673, 0.349], [0.349, 0.682, 0.673], [0.020, 0.737, 0.078]],
  "m_tot_mub_per_atom": 0.143,
  "relative_energy_ev_per_fu": 0.056,
  "ef_mev_per_atom": -2189
}

=====

No. 3
{
  "formula": "SbTeI",
  "functional": "GGA-PBE",
  "state": "relaxed",
  "cell": [[2.150, 7.399, 0.000], [-2.150, 7.399, 0.000], [0.000, 6.396, 7.369]],
  "species": ["Sb", "Sb", "Te", "Te", "I", "I"],
  "frac_coords": [[0.131, 0.131, 0.243], [0.869, 0.869, 0.757], [0.183, 0.183, 0.904], [0.817, 0.817, 0.096], [0.427, 0.427, 0.366], [0.573, 0.573, 0.634]],
  "ef_mev_per_atom": -355
}

=====

No. 4
{
  "formula": "Tb3Sc",
  "functional": "GGA-PBE",
  "state": "relaxed",
  "cell": [[-1.244, 3.660, 4.641], [-5.564, 2.249, -0.686], [2.088, -5.664, -0.193]],
  "species": ["Tb", "Tb", "Tb", "Sc"],
  "frac_coords": [[0.750, 0.250, 0.500], [0.250, 0.750, 0.500], [0.500, 0.500, 0.000], [0.000, 0.000, 0.000]],
  "relative_energy_ev_per_fu": 0.021,
  "ef_mev_per_atom": 44
}

=====

No. 5
{
  "formula": "BaPIr",
  "functional": "GGA-PBE",
  "state": "relaxed",
  "cell": [[-0.206, 3.520, -5.521], [-4.546, -4.052, -2.414], [-4.712, 3.755, 2.570]],
  "species": ["Ba", "Ba", "Ba", "Ba", "P", "P", "P", "P", "Ir", "Ir", "Ir", "Ir"],
  "frac_coords": [[0.626, 0.374, 0.874], [0.374, 0.874, 0.626], [0.126, 0.126, 0.126], [0.874, 0.626, 0.374], [0.154, 0.346, 0.654], [0.654, 0.154, 0.346], [0.346, 0.654, 0.154], [0.846, 0.846, 0.846], [0.597, 0.903, 0.097], [0.097, 0.597, 0.903], [0.403, 0.403, 0.403], [0.903, 0.097, 0.597]],
  "ef_mev_per_atom": -916
}

=====

No. 6
{
  "formula": "SiO2",
  "functional": "GGA-PBE",
  "state": "relaxed",
  "cell": [[4.222, -4.160, 0.000], [4.222, 4.160, 0.000], [0.124, 0.000, 5.926]],
  "species": ["Si", "Si", "Si", "Si", "Si", "Si", "O", "O", "O", "O", "O", "O", "O", "O", "O", "O", "O", "O"],
  "frac_coords": [[0.875, 0.250, 0.625], [0.375, 0.125, 0.750], [0.750, 0.375, 0.125], [0.125, 0.750, 0.375], [0.250, 0.625, 0.875], [0.625, 0.875, 0.250], [0.631, 0.124, 0.126], [0.626, 0.624, 0.131], [0.869, 0.374, 0.376], [0.131, 0.626, 0.624], [0.124, 0.126, 0.631], [0.376, 0.869, 0.374], [0.369, 0.876, 0.874], [0.624, 0.131, 0.626], [0.874, 0.369, 0.876], [0.374, 0.376, 0.869], [0.126, 0.631, 0.124], [0.876, 0.874, 0.369]],
  "m_tot_mub_per_atom": 0.000,
  "ef_mev_per_atom": -2978
}

=====

No. 7
{
  "formula": "BaLiCeSbO6",
  "functional": "GGA-PBE",
  "state": "relaxed",
  "cell": [[5.939, -0.715, -0.301], [2.299, -5.189, -1.913], [2.715, -0.288, -5.331]],
  "species": ["Ba", "Li", "Ce", "Sb", "O", "O", "O", "O", "O", "O"],
  "frac_coords": [[0.250, 0.250, 0.250], [0.750, 0.750, 0.750], [0.000, 0.000, 0.000], [0.500, 0.500, 0.500], [0.737, 0.263, 0.263], [0.263, 0.737, 0.737], [0.737, 0.263, 0.737], [0.263, 0.737, 0.263], [0.737, 0.737, 0.263], [0.263, 0.263, 0.737]],
  "m_tot_mub_per_atom": 0.000,
  "relative_energy_ev_per_fu": 0.164,
  "ef_mev_per_atom": -2772
}

=====

No. 8
{
  "formula": "LiAuF4",
  "functional": "GGA-PBE",
  "state": "relaxed",
  "cell": [[-3.038, -4.525, -3.384], [1.368, -0.818, -6.214], [2.977, -3.987, -0.587]],
  "species": ["Li", "Li", "Au", "Au", "F", "F", "F", "F", "F", "F", "F", "F"],
  "frac_coords": [[0.332, 0.668, 0.250], [0.668, 0.332, 0.750], [0.000, 0.500, 0.000], [0.500, 0.000, 0.500], [0.020, 0.728, 0.162], [0.728, 0.020, 0.662], [0.493, 0.286, 0.179], [0.286, 0.493, 0.679], [0.507, 0.714, 0.821], [0.714, 0.507, 0.321], [0.980, 0.272, 0.838], [0.272, 0.980, 0.338]],
  "ef_mev_per_atom": -2015
}

=====

What is the formula in the eighth record? LiAuF4